# Co2SiGe (PBE, optimized geometry)
data_Co2SiGe
_space_group_name_H-M_alt 'P 1'
_space_group_IT_number 1
_cell_length_a 4.5358
_cell_length_b 4.5341
_cell_length_c 4.5397
_cell_angle_alpha 89.28
_cell_angle_beta 90.00
_cell_angle_gamma 90.00
loop_
_space_group_symop_operation_xyz
'x,y,z'
loop_
_atom_site_label
_atom_site_type_symbol
_atom_site_fract_x
_atom_site_fract_y
_atom_site_fract_z
Co1 Co 0.1382 0.6436 0.3960
Co2 Co 0.6382 0.3564 0.6040
Co3 Co 0.3593 0.1356 0.1177
Co4 Co 0.8593 0.8644 0.8823
Si1 Si 0.1600 0.1563 0.5876
Si2 Si 0.6600 0.8437 0.4124
Ge1 Ge 0.8424 0.3386 0.0942
Ge2 Ge 0.3424 0.6614 0.9058
# Volume, Å³/f.u.: 46.68
# ΔH_f (0 K), eV/atom: -0.388